w:
A relaxed MgV12Zn6O24 crystal. Source: Materials Project, functional GGA+U.

Computed properties:
Symmetry = P1
Theoretical density = 4.830 g/cm³

Cell and atoms, written as extended XYZ:
```
43
Lattice="6.057 -0.008 -0.041 3.021 5.238 -0.043 8.975 5.163 15.207" Properties=species:S:1:pos:R:3 pbc="T T T"
V 9.027 5.193 7.528
O 8.954 5.157 3.624
V 3.004 3.493 2.437
O 7.467 4.297 8.671
V 11.967 6.892 12.685
O 10.472 6.038 13.826
O 4.526 4.243 1.321
O 6.190 5.156 3.657
O 10.605 6.100 6.436
O 9.006 3.418 6.369
O 3.109 1.790 1.336
O 14.961 8.578 13.840
V 4.535 0.845 2.438
O 7.553 4.345 1.244
O 5.946 1.782 1.323
V 16.535 9.518 14.487
O 7.477 6.064 6.368
O 4.535 2.612 3.434
V 6.060 3.488 2.420
O 13.529 7.783 11.706
O 9.078 5.273 11.497
Zn 13.581 7.829 9.868
Zn 1.496 0.861 0.677
O 11.873 5.187 11.506
Zn 4.529 2.604 -0.011
O 7.572 2.765 3.656
O 10.516 7.663 11.499
V 15.054 6.877 12.686
O 6.020 3.460 6.388
Zn 4.504 2.595 5.253
O 13.472 6.103 13.841
O 12.074 8.636 13.826
Zn 7.476 4.297 10.782
V 10.510 6.052 10.100
V 10.545 7.814 7.538
V 7.577 4.360 5.022
O 10.576 4.325 8.709
V 6.004 5.203 7.580
Zn 10.594 6.098 4.317
V 10.492 4.328 12.729
O 12.073 6.948 8.714
O 9.050 6.971 8.706
Mg 4.500 2.581 7.600
```


x:
A relaxed MgV12Zn6O24 crystal. Source: Materials Project, functional GGA+U.

Computed properties:
Symmetry = P1
Theoretical density = 4.707 g/cm³

Cell and atoms, written as extended XYZ:
```
43
Lattice="-5.473 2.613 -1.041 -3.691 -2.227 -4.275 -15.659 -9.018 5.062" Properties=species:S:1:pos:R:3 pbc="T T T"
Zn -1.758 -0.277 -0.528
O -14.181 -6.737 2.379
Mg -10.008 -3.893 -2.685
V -17.626 -7.314 1.561
Zn -12.259 -6.392 2.921
O -15.928 -5.085 -0.947
O -8.113 -0.286 -3.502
O -9.122 -3.899 0.820
V -7.106 -1.124 -1.859
V -15.221 -3.177 -0.653
O -13.598 -3.809 -1.651
Zn -17.885 -5.449 -1.412
Zn -20.232 -8.838 2.312
O -5.454 -1.755 -2.962
Zn -7.531 -4.211 1.792
O -10.513 -1.863 -2.603
O -21.089 -7.854 0.583
O -10.771 -4.979 -1.273
V -14.900 -8.625 2.065
O -18.711 -6.621 -0.064
O -13.415 -6.286 -0.474
V -4.359 -2.436 -1.334
Zn -12.245 -1.657 -3.436
O -15.933 -7.737 0.471
O -11.419 -5.239 1.481
O -16.540 -8.026 3.164
O -14.184 -3.985 1.000
O -19.276 -6.781 2.625
O -11.553 -2.740 0.357
V -22.976 -8.216 0.151
O -16.655 -5.502 1.960
V -15.049 -5.877 0.755
V -12.478 -4.489 -0.132
V -9.691 -2.426 -0.570
O -6.022 -1.853 -0.289
O -8.791 -0.586 -0.720
V -10.663 -3.398 2.084
V -5.169 0.112 0.162
O -6.203 0.647 -1.567
O -18.500 -9.129 1.046
O -8.185 -2.977 -2.159
O -3.635 -0.586 -1.070
V -15.776 -6.214 3.668
```


Quick one: least stable of them? x


w:
A relaxed Li2FeP4O12 crystal. Source: Materials Project, functional GGA+U.

Computed properties:
Theoretical density = 2.607 g/cm³

Cell and atoms, written as extended XYZ:
```
38
Lattice="-4.617 -4.444 -3.276 5.069 -4.035 3.339 -2.024 0.736 10.580" Properties=species:S:1:pos:R:3 pbc="T T T"
O -1.119 -4.071 0.953
P -0.311 -4.722 10.732
Li -1.214 -4.228 2.943
O 3.072 -3.799 3.581
O -0.223 -8.109 3.525
O -0.248 -5.654 7.234
P 1.960 -4.747 3.141
P 3.009 -2.869 7.079
O 0.599 -6.477 0.345
P -4.582 -4.874 3.564
Li -1.655 -6.104 0.772
O -3.468 -3.855 3.376
P -1.262 -3.019 -0.089
P -3.533 -2.995 7.502
O -2.168 -3.204 6.978
Fe -3.320 -1.855 3.652
P -0.211 -1.140 3.849
Li 0.083 -1.638 9.871
O -3.602 -3.024 9.110
O -1.324 -2.088 3.409
O 1.896 -3.888 7.268
O -0.454 -3.670 9.690
O -1.350 0.367 7.118
Li -0.359 -3.514 7.700
O 2.030 -4.717 1.533
O -2.172 -1.264 10.299
O -4.645 -3.943 7.063
O -1.750 -6.258 2.762
Fe 0.451 -8.478 0.064
O -2.647 -2.222 0.189
O -1.292 -6.574 5.186
O -0.280 -1.168 5.457
O 1.153 -1.349 3.324
O 1.074 -5.520 10.454
O -2.726 -6.393 7.319
O 0.595 -4.537 3.665
P -1.361 -6.602 6.794
O 0.177 -1.484 7.881
```


x:
A relaxed Li2FeP4O12 crystal. Source: Materials Project, functional GGA+U.

Computed properties:
Symmetry = P2_1/c
Theoretical density = 2.477 g/cm³

Cell and atoms, written as extended XYZ:
```
76
Lattice="12.734 0.000 0.000 0.000 7.826 0.000 0.000 5.558 10.376" Properties=species:S:1:pos:R:3 pbc="T T T"
P 0.839 8.138 8.928
O 8.931 8.246 9.789
Fe 4.400 8.685 5.067
O 11.250 6.321 0.437
O 9.497 4.067 6.852
O 6.793 3.712 6.368
O 0.598 4.968 1.111
O 9.615 9.463 7.699
Fe 8.334 4.698 5.309
P 7.429 9.625 4.162
O 11.203 11.120 8.516
Li 7.471 12.428 9.602
O 12.308 0.933 1.180
O 3.130 12.095 8.712
O 1.484 7.062 9.939
O 5.941 9.672 4.008
P 8.658 7.996 1.983
O 7.898 8.341 3.328
O 4.836 5.042 7.049
P 8.481 9.361 8.886
Fe 10.767 1.919 0.121
P 11.671 12.404 9.351
O 12.136 8.415 9.265
P 7.205 8.025 6.636
O 1.796 5.501 6.005
O 4.461 10.372 6.526
P 10.442 10.775 7.171
P 4.075 5.388 8.393
Li 9.008 4.377 1.668
P 11.895 5.246 1.448
O 8.273 3.011 3.850
Li 5.263 0.956 0.774
O 0.426 12.450 9.197
O 3.119 3.920 2.677
O 1.531 2.264 1.860
O 4.545 6.496 3.624
P 2.292 2.609 3.205
Li 1.104 3.735 5.962
P 4.253 4.023 1.490
Li 11.630 9.649 4.414
O 8.189 6.887 6.752
O 3.237 9.316 3.524
O 10.170 5.468 4.601
O 7.194 8.880 8.026
P 2.114 6.802 6.678
O 5.540 4.503 2.350
O 5.081 5.848 9.404
O 1.286 3.069 4.216
O 10.938 7.883 4.371
P 10.620 6.582 3.698
O 7.851 9.100 5.625
P 1.062 0.980 1.026
P 5.305 3.759 6.214
O 4.571 2.722 0.817
O 5.769 7.747 6.300
O 1.906 7.593 1.338
O 11.907 6.101 2.838
O 0.827 7.282 7.538
O 6.965 5.636 4.077
O 7.653 7.536 0.972
O 2.564 7.916 5.776
O 10.912 4.108 1.564
Li 3.725 9.006 8.708
Li 10.092 7.156 6.856
O 3.803 5.137 0.588
Li 2.642 6.227 3.520
O 8.163 10.661 9.559
P 5.528 5.359 3.740
O 9.604 1.288 1.664
O 1.822 9.275 8.812
Fe 1.967 11.464 10.255
O 10.828 5.790 9.039
O 9.486 6.684 2.511
O 4.883 4.283 4.751
O 11.448 10.314 6.160
O 3.248 6.699 7.865
```


Quick one: least stable of them? x


w:
A relaxed MnP2O7 crystal. Source: Materials Project, functional GGA+U.

Computed properties:
Symmetry = P2_1/c
Theoretical density = 2.842 g/cm³

Cell and atoms, written as extended XYZ:
```
40
Lattice="8.613 0.000 0.000 0.000 6.936 0.000 0.000 2.902 8.956" Properties=species:S:1:pos:R:3 pbc="T T T"
O 2.342 8.161 6.412
P 2.205 2.730 6.667
O 3.600 4.369 3.243
O 1.965 6.710 1.934
P 2.401 4.592 4.188
O 3.520 1.652 2.622
O 6.141 3.897 4.040
Mn 0.584 5.363 1.613
Mn 4.891 3.024 2.865
O 6.848 7.871 8.165
O 5.093 8.186 6.334
O 7.906 4.018 1.235
O 6.072 6.420 3.687
O 5.354 6.722 1.247
O 1.074 4.469 3.454
P 1.906 6.043 8.666
O 6.648 3.128 7.022
Mn 3.722 6.814 6.091
O 0.786 3.103 7.100
O 5.014 5.469 5.713
Mn 8.029 4.475 7.343
O 1.048 1.664 3.231
O 7.539 5.369 5.502
P 6.212 5.246 4.768
P 2.101 1.279 2.189
O 0.707 5.820 7.721
O 3.259 3.116 7.709
O 5.381 3.918 1.024
O 7.565 8.174 5.725
O 6.779 5.348 8.518
P 6.512 8.559 6.767
P 6.408 7.108 2.289
O 1.765 1.967 0.791
O 7.827 6.735 1.856
O 6.271 1.676 2.544
O 1.834 4.490 0.438
O 2.472 5.941 4.916
O 2.541 3.418 5.269
O 3.232 5.920 7.932
P 6.707 3.795 0.290
```


x:
A relaxed MnP2O7 crystal. Source: Materials Project, functional GGA+U.

Computed properties:
Symmetry = Pa-3
Theoretical density = 2.986 g/cm³

Cell and atoms, written as extended XYZ:
```
40
Lattice="-7.139 -1.527 -3.234 1.082 -7.805 1.295 -3.409 0.720 7.185" Properties=species:S:1:pos:R:3 pbc="T T T"
P -3.840 -7.755 -0.013
O -6.925 -5.583 2.214
O -4.272 -1.983 1.626
O -6.798 -1.538 1.869
O -2.541 -3.029 3.032
P -5.626 -0.858 5.259
O -3.591 -6.259 -0.094
O -4.546 -0.496 6.264
O -2.668 -7.074 3.377
O -3.570 -0.763 -1.617
O -4.352 -8.081 1.379
P -3.632 -3.305 2.013
Mn -3.028 -4.666 -0.970
P -5.834 -5.307 3.233
O -4.733 -4.306 2.623
O -5.114 -0.531 3.867
O -0.463 -7.385 2.323
Mn 0.000 0.000 0.000
O -5.194 -6.629 3.620
P -1.182 -6.799 3.525
P -8.284 -1.813 1.720
O -4.793 -4.070 -1.363
P -3.176 -4.352 6.772
O -4.673 -4.542 6.609
O -2.573 -5.665 7.237
P -6.290 -4.260 -1.526
O -4.919 -8.116 -1.018
O -6.474 -4.704 4.470
O -6.880 -4.604 -0.169
Mn -1.163 -3.543 4.240
O -2.991 -3.908 0.776
O -6.892 -2.947 -1.991
O -9.003 -1.227 2.923
Mn -5.274 -0.404 1.975
O -5.875 -2.353 5.339
O -2.586 -4.008 5.415
O 0.541 -3.902 0.648
O -8.496 -3.317 1.722
O -0.970 -5.295 3.524
O -1.704 0.360 3.593
```


Quick one: least stable of them? w


w:
A relaxed Sr2VMoO6 crystal. Source: Materials Project, functional GGA+U.

Computed properties:
Symmetry = P-1
Theoretical density = 5.434 g/cm³

Cell and atoms, written as extended XYZ:
```
20
Lattice="-0.999 -5.220 1.965 4.831 -1.833 -2.401 3.958 1.739 6.630" Properties=species:S:1:pos:R:3 pbc="T T T"
Sr 5.230 -4.038 0.116
O 5.179 -1.877 1.724
V 5.874 -1.787 6.411
O 4.848 -0.053 6.407
Mo 6.810 -0.964 0.915
Mo 3.895 -2.657 3.096
O 2.943 -5.260 -0.213
O 5.168 -2.236 4.700
Sr 2.561 -1.278 6.078
O 2.611 -3.437 4.469
V -0.998 -5.219 1.965
O 4.317 -2.678 7.337
Sr 2.342 -5.739 2.285
O 3.474 -2.636 -1.143
O 7.610 -0.473 2.781
O 3.040 -0.849 3.393
Sr 5.448 0.426 3.909
O 2.622 -3.079 1.492
O 4.750 -4.465 2.801
O 0.181 -4.841 3.414
```


x:
A relaxed Sr2VMoO6 crystal. Source: Materials Project, functional GGA+U.

Computed properties:
Symmetry = Fmm2
Theoretical density = 5.386 g/cm³

Cell and atoms, written as extended XYZ:
```
20
Lattice="1.523 -5.343 1.112 2.175 -0.498 -5.209 8.949 -0.334 0.665" Properties=species:S:1:pos:R:3 pbc="T T T"
V 8.946 -0.335 0.664
O 7.186 -0.977 -0.010
O 6.324 -3.085 -1.715
V 10.795 -3.256 -1.385
O 9.875 -1.797 -0.360
Sr 8.077 -3.601 0.597
Sr 8.404 -1.179 -2.564
O 2.023 -1.646 -3.710
Sr 4.245 -4.996 -0.868
O 7.089 -5.713 -1.225
Mo 7.249 -4.548 -2.740
O 7.403 -3.385 -4.258
O 4.478 -0.169 0.333
O 9.032 -3.896 -2.059
O 1.679 -4.194 -0.386
O 11.720 -4.713 -2.407
Mo 5.399 -1.627 -0.692
O 5.463 -5.199 -3.421
Sr 4.571 -2.575 -4.029
O 3.617 -2.278 -1.373
```


Quick one: least stable of them? w


w:
A relaxed NaMnO2 crystal. Source: Materials Project, functional GGA+U.

Computed properties:
Symmetry = P1
Theoretical density = 4.004 g/cm³

Cell and atoms, written as extended XYZ:
```
16
Lattice="2.920 0.001 -0.003 -1.462 2.858 0.003 -0.025 0.037 21.848" Properties=species:S:1:pos:R:3 pbc="T T T"
O 1.450 0.732 6.573
O -0.031 2.083 1.110
O 0.010 2.227 12.039
Na 1.457 1.194 13.655
O 1.446 0.737 17.498
O 1.408 0.687 20.731
O 1.473 0.795 9.812
O -0.012 2.151 4.353
Mn -1.474 2.882 16.390
Mn 0.013 0.088 10.928
O -0.014 2.169 15.276
Mn 1.405 2.828 21.844
Na 1.430 1.100 2.730
Na -0.032 1.715 19.117
Mn 2.911 0.013 5.461
Na 0.009 1.780 8.192
```


x:
A relaxed NaMnO2 crystal. Source: Materials Project, functional GGA+U.

Computed properties:
Symmetry = Pmmn
Theoretical density = 3.991 g/cm³

Cell and atoms, written as extended XYZ:
```
8
Lattice="2.921 0.000 0.000 0.000 4.876 0.000 0.000 0.000 6.422" Properties=species:S:1:pos:R:3 pbc="T T T"
O 0.730 3.657 3.737
Na 2.191 3.657 5.631
O 2.191 1.219 5.320
Mn 0.730 1.219 4.011
Na 0.730 1.219 0.792
O 0.730 3.657 1.102
Mn 2.191 3.657 2.411
O 2.191 1.219 2.685
```


Quick one: least stable of them? w